The following is a DFT calculation (PBE) of a relaxed NdNi2 crystal.

The structure in POSCAR format:
```
NdNi2
1.0
0.000 3.651 3.651
3.651 0.000 3.651
3.651 3.651 0.000
Ni Nd
4 2
direct
0.125 0.625 0.625
0.625 0.625 0.625
0.625 0.125 0.625
0.625 0.625 0.125
0.000 0.000 0.000
0.250 0.250 0.250
```

Output
* formation energy: -310 meV/atom
* space-group type: Fd-3m (227)